First-principles (PBE-GGA) data for a relaxed TmNi4Au crystal, as listed in the Materials Project database.

Results
The symmetry is F-43m. As for the total energy: -5.557 eV/atom. The calculation puts the formation energy from the elements at -0.412 eV/atom.

Unit cell a=4.903 b=4.903 c=4.903 alpha=60.00 beta=60.00 gamma=60.00
Positions (direct):
Tm  0.000  0.000  0.000
Ni  0.127  0.624  0.624
Ni  0.624  0.127  0.624
Ni  0.624  0.624  0.127
Ni  0.624  0.624  0.624
Au  0.250  0.250  0.250


First-principles (PBE-GGA) data for a relaxed MnH2Cl2 crystal, as listed in the Materials Project database.

Results
The symmetry is C2/m. As for the total energy: -3.990 eV/atom. The calculation puts the formation energy from the elements at -0.307 eV/atom.

Unit cell a=4.934 b=4.934 c=3.365 alpha=95.34 beta=95.34 gamma=94.23
Positions (direct):
Mn  0.000  0.000  0.000
H  0.230  0.770  0.000
H  0.770  0.230  0.000
Cl  0.240  0.240  0.567
Cl  0.760  0.760  0.433


First-principles (PBE-GGA) data for a relaxed NaMgSO7 crystal, as listed in the Materials Project database.

Results
The symmetry is P2_1/m. As for the total energy: -5.382 eV/atom. The calculation puts the formation energy from the elements at -1.325 eV/atom.

Unit cell a=6.284 b=7.206 c=7.530 alpha=90.00 beta=110.45 gamma=90.00
Positions (direct):
Na  0.236  0.250  0.253
Na  0.764  0.750  0.747
Mg  0.500  0.000  0.000
Mg  0.500  0.500  0.000
S  0.325  0.750  0.285
S  0.675  0.250  0.715
O  0.138  0.750  0.358
O  0.186  0.664  0.746
O  0.186  0.836  0.746
O  0.309  0.579  0.163
O  0.309  0.921  0.163
O  0.373  0.250  0.007
O  0.449  0.250  0.563
O  0.551  0.750  0.437
O  0.627  0.750  0.993
O  0.691  0.079  0.837
O  0.691  0.421  0.837
O  0.814  0.164  0.254
O  0.814  0.336  0.254
O  0.862  0.250  0.642


First-principles (PBE-GGA) data for a relaxed BiH16C4N2Cl5 crystal, as listed in the Materials Project database.

Results
The symmetry is P2_1/c. As for the total energy: -4.761 eV/atom. The calculation puts the formation energy from the elements at -0.549 eV/atom.

Unit cell a=11.225 b=10.669 c=14.919 alpha=90.00 beta=117.64 gamma=90.00
Positions (direct):
Bi  0.197  0.090  0.064
Bi  0.197  0.410  0.564
Bi  0.803  0.590  0.436
Bi  0.803  0.910  0.936
H  0.040  0.071  0.628
H  0.040  0.429  0.128
H  0.043  0.140  0.284
H  0.043  0.360  0.784
H  0.043  0.512  0.279
H  0.043  0.988  0.779
H  0.052  0.067  0.438
H  0.052  0.433  0.938
H  0.126  0.542  0.888
H  0.126  0.958  0.388
H  0.136  0.701  0.179
H  0.136  0.799  0.679
H  0.194  0.686  0.312
H  0.194  0.814  0.812
H  0.227  0.563  0.245
H  0.227  0.937  0.745
H  0.320  0.738  0.097
H  0.320  0.762  0.597
H  0.382  0.732  0.956
H  0.382  0.768  0.456
H  0.391  0.186  0.340
H  0.391  0.314  0.840
H  0.406  0.590  0.144
H  0.406  0.910  0.644
H  0.446  0.214  0.515
H  0.446  0.286  0.015
H  0.453  0.725  0.224
H  0.453  0.775  0.724
H  0.463  0.585  0.002
H  0.463  0.915  0.502
H  0.472  0.176  0.883
H  0.472  0.324  0.383
H  0.528  0.676  0.617
H  0.528  0.824  0.117
H  0.537  0.085  0.498
H  0.537  0.415  0.998
H  0.547  0.225  0.276
H  0.547  0.275  0.776
H  0.554  0.714  0.985
H  0.554  0.786  0.485
H  0.594  0.090  0.356
H  0.594  0.410  0.856
H  0.609  0.686  0.160
H  0.609  0.814  0.660
H  0.618  0.232  0.544
H  0.618  0.268  0.044
H  0.680  0.238  0.403
H  0.680  0.262  0.903
H  0.773  0.063  0.255
H  0.773  0.437  0.755
H  0.806  0.186  0.188
H  0.806  0.314  0.688
H  0.864  0.201  0.321
H  0.864  0.299  0.821
H  0.874  0.042  0.612
H  0.874  0.458  0.112
H  0.948  0.567  0.062
H  0.948  0.933  0.562
H  0.957  0.012  0.221
H  0.957  0.488  0.721
H  0.957  0.640  0.216
H  0.957  0.860  0.716
H  0.960  0.571  0.872
H  0.960  0.929  0.372
C  0.032  0.001  0.377
C  0.032  0.499  0.877
C  0.155  0.635  0.240
C  0.155  0.865  0.740
C  0.416  0.692  0.146
C  0.416  0.808  0.646
C  0.477  0.687  0.006
C  0.477  0.813  0.506
C  0.523  0.187  0.494
C  0.523  0.313  0.994
C  0.584  0.192  0.354
C  0.584  0.308  0.854
C  0.845  0.135  0.260
C  0.845  0.365  0.760
C  0.968  0.501  0.123
C  0.968  0.999  0.623
N  0.026  0.573  0.220
N  0.026  0.927  0.720
N  0.483  0.227  0.388
N  0.483  0.273  0.888
N  0.517  0.727  0.112
N  0.517  0.773  0.612
N  0.974  0.073  0.280
N  0.974  0.427  0.780
Cl  0.075  0.645  0.471
Cl  0.075  0.855  0.971
Cl  0.150  0.167  0.872
Cl  0.150  0.333  0.372
Cl  0.258  0.021  0.257
Cl  0.258  0.479  0.757
Cl  0.276  0.183  0.632
Cl  0.276  0.317  0.132
Cl  0.440  0.020  0.099
Cl  0.440  0.480  0.599
Cl  0.560  0.520  0.401
Cl  0.560  0.980  0.901
Cl  0.724  0.683  0.868
Cl  0.724  0.817  0.368
Cl  0.742  0.521  0.243
Cl  0.742  0.979  0.743
Cl  0.850  0.667  0.628
Cl  0.850  0.833  0.128
Cl  0.925  0.145  0.029
Cl  0.925  0.355  0.529


> Which value of total energy does entry 2 give?

-3.990 eV/atom


> Number 2 is which compound?

MnH2Cl2


> Look up the formation energy from the elements of the second one.

-0.307 eV/atom


> Which value of total energy does entry 1 give?

-5.557 eV/atom